A plane-wave DFT calculation with GGA+U was carried out for Sr3CaNdMn5O15 after structural relaxation.

The structure in POSCAR format:
```
Sr3CaNdMn5O15
1.0
5.504 0.000 0.000
-2.509 9.093 0.000
-2.674 -2.348 11.567
Sr Ca Nd Mn O
6 2 2 10 30
direct
0.000 0.000 0.000
0.098 0.902 0.300
0.200 0.799 0.603
0.494 0.499 0.501
0.601 0.401 0.804
0.800 0.202 0.399
0.301 0.700 0.901
0.702 0.301 0.104
0.393 0.601 0.198
0.900 0.099 0.697
0.050 0.452 0.653
0.151 0.351 0.952
0.247 0.251 0.248
0.349 0.150 0.551
0.451 0.051 0.853
0.551 0.952 0.149
0.647 0.849 0.449
0.748 0.750 0.752
0.850 0.650 0.049
0.946 0.549 0.349
0.012 0.518 0.977
0.100 0.907 0.800
0.110 0.395 0.321
0.116 0.367 0.792
0.163 0.332 0.110
0.184 0.302 0.582
0.200 0.795 0.102
0.298 0.700 0.393
0.322 0.182 0.394
0.328 0.199 0.933
0.361 0.119 0.709
0.396 0.602 0.705
0.401 0.114 0.176
0.501 0.501 0.009
0.512 0.965 0.989
0.516 0.995 0.527
0.578 0.921 0.307
0.594 0.407 0.289
0.607 0.918 0.777
0.699 0.786 0.126
0.700 0.292 0.608
0.718 0.780 0.594
0.759 0.723 0.909
0.778 0.703 0.371
0.807 0.200 0.899
0.897 0.101 0.196
0.915 0.596 0.729
0.932 0.573 0.190
0.971 0.516 0.506
0.997 0.000 0.505
```

Calculated values
M_tot	0.640	μB per atom
energy relative to the elements	-2.58	eV per atom
calculated volume	11.58	A^3/atom
final energy	-0.522	Ry per atom


A plane-wave DFT calculation with GGA+U was carried out for MgCo5O8 after structural relaxation.

The structure in POSCAR format:
```
MgCo5O8
1.0
5.212 -2.862 0.000
5.212 2.862 0.000
-3.153 0.000 4.809
Mg Co O
1 5 8
direct
0.000 0.000 0.000
0.369 0.369 0.621
0.370 0.370 0.122
0.372 0.872 0.624
0.741 0.741 0.246
0.872 0.372 0.624
0.122 0.122 0.409
0.142 0.588 0.864
0.149 0.149 0.882
0.150 0.598 0.380
0.588 0.142 0.864
0.593 0.593 0.364
0.598 0.150 0.380
0.619 0.619 0.838
```

Calculated values
M_tot	0.929	μB per atom
energy relative to the elements	-1.44	eV per atom
calculated volume	10.25	A^3/atom
final energy	-0.437	Ry per atom
relative energy among the computed polymorphs	0.50	eV per formula unit


A plane-wave DFT calculation with GGA+U was carried out for BaNdNiSbO6 after structural relaxation.

The structure in POSCAR format:
```
BaNdNiSbO6
1.0
5.726 0.000 0.000
0.000 5.789 0.000
-5.721 0.000 8.046
Ba Nd Ni Sb O
2 2 2 2 12
direct
0.000 0.240 0.000
0.000 0.760 0.500
0.518 0.296 0.499
0.518 0.704 0.999
0.254 0.241 0.750
0.254 0.759 0.250
0.752 0.244 0.251
0.752 0.756 0.751
0.095 0.239 0.493
0.095 0.761 0.993
0.459 0.284 0.006
0.459 0.716 0.506
0.520 0.042 0.299
0.520 0.958 0.799
0.549 0.495 0.289
0.549 0.505 0.789
0.903 0.033 0.702
0.903 0.967 0.202
0.965 0.492 0.218
0.965 0.508 0.718
```

Calculated values
M_tot	0.200	μB per atom
energy relative to the elements	-2.55	eV per atom
calculated volume	13.33	A^3/atom
final energy	-0.479	Ry per atom


A plane-wave DFT calculation with GGA+U was carried out for Sr3Co2O6 after structural relaxation.

The structure in POSCAR format:
```
Sr3Co2O6
1.0
-1.946 5.719 10.211
1.946 -5.719 10.211
1.946 5.719 -10.211
Sr Co O
9 6 18
direct
0.000 0.000 0.000
0.152 0.820 0.332
0.189 0.189 0.000
0.316 0.000 0.316
0.488 0.820 0.668
0.512 0.180 0.332
0.684 0.000 0.684
0.811 0.811 0.000
0.848 0.180 0.668
0.070 0.403 0.667
0.263 0.597 0.667
0.402 0.402 0.000
0.598 0.598 0.000
0.737 0.403 0.333
0.930 0.597 0.333
0.032 0.693 0.339
0.053 0.903 0.150
0.146 0.500 0.646
0.246 0.097 0.150
0.257 0.414 0.844
0.306 0.306 0.000
0.354 0.693 0.661
0.417 0.917 0.500
0.430 0.586 0.844
0.570 0.414 0.156
0.583 0.083 0.500
0.646 0.307 0.339
0.694 0.694 0.000
0.743 0.586 0.156
0.754 0.903 0.850
0.854 0.500 0.354
0.947 0.097 0.850
0.968 0.307 0.661
```

Calculated values
M_tot	0.424	μB per atom
energy relative to the elements	-2.26	eV per atom
calculated volume	13.77	A^3/atom
final energy	-0.444	Ry per atom
relative energy among the computed polymorphs	0.64	eV per formula unit


In g/cm3, the calculated density values for the records above are, in order, 5.5, 5.2, 6.9, 5.2.